{
  "formula": "Mg2Sn",
  "functional": "PBE",
  "state": "relaxed",
  "lattice_angstrom": [[1.6332, -8.0920, 0.0000], [1.6332, 8.0920, 0.0000], [0.0000, 0.0000, 5.4211]],
  "species": ["Mg", "Mg", "Mg", "Mg", "Sn", "Sn"],
  "frac_coords": [[0.1106, 0.8894, 0.2500], [0.7768, 0.2232, 0.2500], [0.2232, 0.7768, 0.7500], [0.8894, 0.1106, 0.7500], [0.4433, 0.5567, 0.2500], [0.5567, 0.4433, 0.7500]],
  "e_tot_ev_per_atom": -2.42,
  "e_form_mev_per_atom": -17,
  "rho_g_cm3": 3.9,
  "vol_a3_per_atom": 23.882
}

***

{
  "formula": "HfMg",
  "functional": "PBE",
  "state": "relaxed",
  "lattice_angstrom": [[3.1151, 0.0000, 0.0000], [0.0000, 3.1151, 0.0000], [0.0000, 0.0000, 4.4647]],
  "species": ["Hf", "Mg"],
  "frac_coords": [[0.0000, 0.0000, 0.0000], [0.5000, 0.5000, 0.5000]],
  "e_tot_ev_per_atom": -5.59,
  "e_form_mev_per_atom": 193,
  "rho_g_cm3": 7.8,
  "vol_a3_per_atom": 21.662
}

***

{
  "formula": "LiPr2Ir",
  "functional": "PBE",
  "state": "relaxed",
  "lattice_angstrom": [[-2.1025, -3.8173, 2.7160], [-1.8682, 0.9154, 4.6948], [-5.0705, -0.0866, 0.8075]],
  "species": ["Li", "Pr", "Pr", "Ir"],
  "frac_coords": [[0.0000, 0.0000, 0.0000], [0.2500, 0.2500, 0.2500], [0.7500, 0.7500, 0.7500], [0.5000, 0.5000, 0.5000]],
  "e_tot_ev_per_atom": -5.45,
  "e_form_mev_per_atom": -369,
  "rho_g_cm3": 8.3,
  "vol_a3_per_atom": 23.937
}